1.
A plane-wave DFT calculation with GGA-PBE was carried out for crystalline KPuCO5 at its relaxed geometry.

abc: 5.1329 5.1329 10.5630
angles: 90.00 90.00 120.00
Closest atoms and distances in Å follow each position.
Fractional positions:
K 0.0000 0.0000 0.0000  12 O 3.07-3.12
K 0.0000 0.0000 0.5000  12 O 3.07-3.12
Pu 0.3333 0.6667 0.2500  2 O 1.83
Pu 0.6667 0.3333 0.7500  2 O 1.83
C 0.3333 0.6667 0.7500  3 O 1.30
C 0.6667 0.3333 0.2500  3 O 1.30
O 0.1876 0.3753 0.7500  1 C 1.30
O 0.1876 0.8124 0.7500  1 C 1.30
O 0.3333 0.6667 0.0770  1 Pu 1.83
O 0.3333 0.6667 0.4230  1 Pu 1.83
O 0.3753 0.1876 0.2500  1 C 1.30
O 0.6247 0.8124 0.7500  1 C 1.30
O 0.6667 0.3333 0.5770  1 Pu 1.83
O 0.6667 0.3333 0.9230  1 Pu 1.83
O 0.8124 0.1876 0.2500  1 C 1.30
O 0.8124 0.6247 0.2500  1 C 1.30

Properties
M_tot, μB/atom: 0.38
Space-group type: P6_3/mmc
Calculated formation energy, kJ/mol of atoms: -259.80
E_tot, eV/atom: -8.4316


2.
A plane-wave DFT calculation with GGA-PBE was carried out for crystalline Te2Pd3 at its relaxed geometry.

abc: 6.7119 6.7119 8.0637
angles: 90.00 90.00 146.03
Closest atoms and distances in Å follow each position.
Fractional positions:
Te 0.0000 0.0000 0.0000  8 Pd 2.85-2.91
Te 0.0000 0.0000 0.5000  8 Pd 2.85-2.91
Te 0.2576 0.7424 0.7500  7 Pd 2.66-2.75
Te 0.7424 0.2576 0.2500  7 Pd 2.66-2.75
Pd 0.3378 0.6622 0.0664  5 Te 2.75-2.91, 3 Pd 2.93-3.03
Pd 0.3378 0.6622 0.4336  5 Te 2.75-2.91, 3 Pd 2.93-3.03
Pd 0.4651 0.5349 0.7500  5 Te 2.66-2.85, 2 Pd 2.93
Pd 0.5349 0.4651 0.2500  5 Te 2.66-2.85, 2 Pd 2.93
Pd 0.6622 0.3378 0.5664  5 Te 2.75-2.91, 3 Pd 2.93-3.03
Pd 0.6622 0.3378 0.9336  5 Te 2.75-2.91, 3 Pd 2.93-3.03

Properties
Space-group type: Cmcm
Calculated formation energy, kJ/mol of atoms: -33.02
E_tot, eV/atom: -4.7075


3.
A plane-wave DFT calculation with GGA-PBE was carried out for crystalline Ac3Hg at its relaxed geometry.

abc: 7.7050 7.7050 5.9125
angles: 90.00 90.00 120.00
Closest atoms and distances in Å follow each position.
Fractional positions:
Ac 0.1760 0.3519 0.2500  4 Hg 3.63-3.85, 6 Ac 3.64-3.78
Ac 0.1760 0.8240 0.2500  4 Hg 3.63-3.85, 6 Ac 3.64-3.78
Ac 0.3519 0.1760 0.7500  4 Hg 3.63-3.85, 6 Ac 3.64-3.78
Ac 0.6481 0.8240 0.2500  4 Hg 3.63-3.85, 6 Ac 3.64-3.78
Ac 0.8240 0.1760 0.7500  4 Hg 3.63-3.85, 6 Ac 3.64-3.78
Ac 0.8240 0.6481 0.7500  4 Hg 3.63-3.85, 6 Ac 3.64-3.78
Hg 0.3333 0.6667 0.7500  12 Ac 3.63-3.85
Hg 0.6667 0.3333 0.2500  12 Ac 3.63-3.85

Properties
M_tot, μB/atom: 0.01
Space-group type: P6_3/mmc
Calculated formation energy, kJ/mol of atoms: -6.86
E_tot, eV/atom: -3.2379


4.
A plane-wave DFT calculation with GGA-PBE was carried out for crystalline HgBrCl at its relaxed geometry.

abc: 13.4680 6.9198 4.6621
angles: 90.00 90.00 90.00
Closest atoms and distances in Å follow each position.
Fractional positions:
Hg 0.1246 0.2500 0.0363  1 Cl 2.33, 1 Br 2.44
Hg 0.3754 0.7500 0.5363  1 Cl 2.33, 1 Br 2.44
Hg 0.6246 0.2500 0.4637  1 Cl 2.33, 1 Br 2.44
Hg 0.8754 0.7500 0.9637  1 Cl 2.33, 1 Br 2.44
Br 0.2333 0.7500 0.8622  1 Hg 2.44
Br 0.2667 0.2500 0.3622  1 Hg 2.44
Br 0.7333 0.7500 0.6378  1 Hg 2.44
Br 0.7667 0.2500 0.1378  1 Hg 2.44
Cl 0.0094 0.7500 0.2787  1 Hg 2.33
Cl 0.4906 0.2500 0.7787  1 Hg 2.33
Cl 0.5094 0.7500 0.2213  1 Hg 2.33
Cl 0.9906 0.2500 0.7213  1 Hg 2.33

Properties
M_tot, μB/atom: 0.00
Space-group type: Pnma
Calculated formation energy, kJ/mol of atoms: -70.52
E_tot, eV/atom: -1.7893


5.
A plane-wave DFT calculation with GGA-PBE was carried out for crystalline TbAu2 at its relaxed geometry.

abc: 3.7659 3.7659 9.1155
angles: 90.00 90.00 90.00
Closest atoms and distances in Å follow each position.
Fractional positions:
Tb 0.0000 0.0000 0.0000  10 Au 3.05-3.06
Tb 0.5000 0.5000 0.5000  10 Au 3.05-3.06
Au 0.0000 0.0000 0.3343  5 Au 3.02-3.08, 5 Tb 3.05-3.06
Au 0.0000 0.0000 0.6657  5 Au 3.02-3.08, 5 Tb 3.05-3.06
Au 0.5000 0.5000 0.1657  5 Au 3.02-3.08, 5 Tb 3.05-3.06
Au 0.5000 0.5000 0.8343  5 Au 3.02-3.08, 5 Tb 3.05-3.06

Properties
Space-group type: I4/mmm
Calculated formation energy, kJ/mol of atoms: -82.85
E_tot, eV/atom: -4.5861


6.
A plane-wave DFT calculation with GGA-PBE was carried out for crystalline Sc2CuRh at its relaxed geometry.

abc: 6.4964 6.4964 6.4964
angles: 90.00 90.00 90.00
Closest atoms and distances in Å follow each position.
Fractional positions:
Sc 0.2500 0.2500 0.2500  4 Cu 2.81, 4 Rh 2.81
Sc 0.2500 0.2500 0.7500  4 Cu 2.81, 4 Rh 2.81
Sc 0.2500 0.7500 0.2500  4 Cu 2.81, 4 Rh 2.81
Sc 0.2500 0.7500 0.7500  4 Cu 2.81, 4 Rh 2.81
Sc 0.7500 0.2500 0.2500  4 Cu 2.81, 4 Rh 2.81
Sc 0.7500 0.2500 0.7500  4 Cu 2.81, 4 Rh 2.81
Sc 0.7500 0.7500 0.2500  4 Cu 2.81, 4 Rh 2.81
Sc 0.7500 0.7500 0.7500  4 Cu 2.81, 4 Rh 2.81
Cu 0.0000 0.0000 0.0000  8 Sc 2.81
Cu 0.0000 0.5000 0.5000  8 Sc 2.81
Cu 0.5000 0.0000 0.5000  8 Sc 2.81
Cu 0.5000 0.5000 0.0000  8 Sc 2.81
Rh 0.0000 0.0000 0.5000  8 Sc 2.81
Rh 0.0000 0.5000 0.0000  8 Sc 2.81
Rh 0.5000 0.0000 0.0000  8 Sc 2.81
Rh 0.5000 0.5000 0.5000  8 Sc 2.81

Properties
Space-group type: Fm-3m
Calculated formation energy, kJ/mol of atoms: -61.60
E_tot, eV/atom: -6.6706


7.
A plane-wave DFT calculation with GGA-PBE was carried out for crystalline Pr3Sn at its relaxed geometry.

abc: 4.9998 4.9998 4.9998
angles: 90.00 90.00 90.00
Closest atoms and distances in Å follow each position.
Fractional positions:
Pr 0.0000 0.0000 0.5000  4 Sn 3.54, 8 Pr 3.54
Pr 0.0000 0.5000 0.0000  4 Sn 3.54, 8 Pr 3.54
Pr 0.5000 0.0000 0.0000  4 Sn 3.54, 8 Pr 3.54
Sn 0.5000 0.5000 0.5000  12 Pr 3.54

Properties
Space-group type: Pm-3m
Calculated formation energy, kJ/mol of atoms: -42.33
E_tot, eV/atom: -5.0268


8.
A plane-wave DFT calculation with GGA-PBE was carried out for crystalline Mg4Cu11O15 at its relaxed geometry.

abc: 4.0344 9.5638 16.2864
angles: 90.00 90.00 90.00
Closest atoms and distances in Å follow each position.
Fractional positions:
Mg 0.0000 0.0000 0.0000  6 O 2.05-2.20
Mg 0.0000 0.0000 0.2001  6 O 2.05-2.20
Mg 0.0000 0.0000 0.4002  6 O 2.04-2.20
Mg 0.0000 0.0000 0.5999  6 O 2.05-2.21
Mg 0.0000 0.0000 0.7999  6 O 2.05-2.20
Mg 0.5000 0.5000 0.0382  6 O 2.05-2.19
Mg 0.5000 0.5000 0.2387  6 O 2.05-2.20
Mg 0.5000 0.5000 0.4398  6 O 2.05-2.21
Cu 0.0000 0.3364 0.5503  4 O 1.89-2.03
Cu 0.0000 0.3359 0.7510  4 O 1.89-2.03
Cu 0.0000 0.3357 0.9502  4 O 1.90-2.03
Cu 0.0000 0.3367 0.1492  4 O 1.90-2.03
Cu 0.0000 0.3367 0.3496  4 O 1.90-2.03
Cu 0.0000 0.6633 0.1492  4 O 1.90-2.03
Cu 0.0000 0.6633 0.3496  4 O 1.90-2.03
Cu 0.0000 0.6636 0.5503  4 O 1.89-2.03
Cu 0.0000 0.6641 0.7510  4 O 1.89-2.03
Cu 0.0000 0.6643 0.9502  4 O 1.90-2.03
Cu 0.5000 0.1633 0.2895  4 O 1.90-2.03
Cu 0.5000 0.1633 0.4877  4 O 1.90-2.03
Cu 0.5000 0.1630 0.6881  4 O 1.91-2.03
Cu 0.5000 0.1628 0.8891  4 O 1.90-2.03
Cu 0.5000 0.1636 0.0892  4 O 1.91-2.03
Cu 0.5000 0.5000 0.6411  6 O 2.06-2.25
Cu 0.5000 0.5000 0.8406  6 O 2.06-2.24
Cu 0.5000 0.8364 0.0892  4 O 1.91-2.03
Cu 0.5000 0.8367 0.2895  4 O 1.90-2.03
Cu 0.5000 0.8367 0.4877  4 O 1.90-2.03
Cu 0.5000 0.8370 0.6881  4 O 1.91-2.03
Cu 0.5000 0.8372 0.8891  4 O 1.90-2.03
O 0.0000 0.1511 0.1017  3 Cu 1.94-2.03, 1 Mg 2.16
O 0.0000 0.1514 0.3018  3 Cu 1.94-2.03, 1 Mg 2.16
O 0.0000 0.1510 0.9017  3 Cu 1.93-2.03, 1 Mg 2.16
O 0.0000 0.1518 0.5020  3 Cu 1.93-2.03, 1 Mg 2.16
O 0.0000 0.1518 0.7023  3 Cu 1.93-2.03, 1 Mg 2.15
O 0.0000 0.5000 0.0161  2 Cu 1.90, 2 Mg 2.05
O 0.0000 0.5000 0.2161  2 Cu 1.90, 2 Mg 2.05
O 0.0000 0.5000 0.4161  2 Cu 1.90, 2 Mg 2.05
O 0.0000 0.5000 0.6155  4 Cu 1.89-2.06
O 0.0000 0.5000 0.8157  4 Cu 1.89-2.06
O 0.0000 0.8482 0.5020  3 Cu 1.93-2.03, 1 Mg 2.16
O 0.0000 0.8482 0.7023  3 Cu 1.93-2.03, 1 Mg 2.15
O 0.0000 0.8489 0.1017  3 Cu 1.94-2.03, 1 Mg 2.16
O 0.0000 0.8486 0.3018  3 Cu 1.94-2.03, 1 Mg 2.16
O 0.0000 0.8490 0.9017  3 Cu 1.93-2.03, 1 Mg 2.16
O 0.5000 0.0000 0.0224  2 Cu 1.91, 2 Mg 2.05
O 0.5000 0.0000 0.2226  2 Cu 1.90, 2 Mg 2.05
O 0.5000 0.0000 0.4208  2 Cu 1.90, 2 Mg 2.04
O 0.5000 0.0000 0.6208  2 Cu 1.91, 2 Mg 2.05
O 0.5000 0.0000 0.8218  2 Cu 1.90, 2 Mg 2.05
O 0.5000 0.3454 0.7373  3 Cu 1.92-2.03
O 0.5000 0.3463 0.5364  3 Cu 1.92-2.03
O 0.5000 0.3463 0.9386  3 Cu 1.93-2.03
O 0.5000 0.3490 0.1371  3 Cu 1.94-2.03, 1 Mg 2.16
O 0.5000 0.3488 0.3372  3 Cu 1.94-2.03, 1 Mg 2.16
O 0.5000 0.6510 0.1371  3 Cu 1.94-2.03, 1 Mg 2.16
O 0.5000 0.6512 0.3372  3 Cu 1.94-2.03, 1 Mg 2.16
O 0.5000 0.6537 0.5364  3 Cu 1.92-2.03
O 0.5000 0.6537 0.9386  3 Cu 1.93-2.03
O 0.5000 0.6546 0.7373  3 Cu 1.92-2.03

Properties
M_tot, μB/atom: 0.01
Space-group type: Pmm2
Calculated formation energy, kJ/mol of atoms: -138.95
E_tot, eV/atom: -5.2870


Copy entry 5 word for word.
A plane-wave DFT calculation with GGA-PBE was carried out for crystalline TbAu2 at its relaxed geometry.

abc: 3.7659 3.7659 9.1155
angles: 90.00 90.00 90.00
Closest atoms and distances in Å follow each position.
Fractional positions:
Tb 0.0000 0.0000 0.0000  10 Au 3.05-3.06
Tb 0.5000 0.5000 0.5000  10 Au 3.05-3.06
Au 0.0000 0.0000 0.3343  5 Au 3.02-3.08, 5 Tb 3.05-3.06
Au 0.0000 0.0000 0.6657  5 Au 3.02-3.08, 5 Tb 3.05-3.06
Au 0.5000 0.5000 0.1657  5 Au 3.02-3.08, 5 Tb 3.05-3.06
Au 0.5000 0.5000 0.8343  5 Au 3.02-3.08, 5 Tb 3.05-3.06

Properties
Space-group type: I4/mmm
Calculated formation energy, kJ/mol of atoms: -82.85
E_tot, eV/atom: -4.5861


> The highest E_tot belongs to which entry?

HgBrCl